A plane-wave DFT calculation with PBE+U was carried out for an optimized crystal structure of Na3Mn20O40.

```
data_Na3Mn20O40
_chemical_formula_sum 'Na3 Mn20 O40'
_symmetry_space_group_name_H-M 'P 1'
_symmetry_Int_Tables_number 1
_cell_length_a 5.967
_cell_length_b 10.331
_cell_length_c 13.310
_cell_angle_alpha 75.11
_cell_angle_beta 77.08
_cell_angle_gamma 73.22
loop_
_symmetry_equiv_pos_as_xyz
'x,y,z'
loop_
_atom_site_label
_atom_site_fract_x
_atom_site_fract_y
_atom_site_fract_z
Na1 0.000 0.000 0.000
Na2 0.197 0.401 0.198
Na3 0.797 0.850 0.550
Mn1 0.097 0.329 0.969
Mn2 0.098 0.326 0.477
Mn3 0.195 0.031 0.575
Mn4 0.202 0.522 0.574
Mn5 0.297 0.723 0.677
Mn6 0.301 0.726 0.176
Mn7 0.397 0.426 0.773
Mn8 0.399 0.926 0.774
Mn9 0.497 0.127 0.374
Mn10 0.499 0.129 0.871
Mn11 0.596 0.330 0.970
Mn12 0.601 0.822 0.973
Mn13 0.697 0.522 0.575
Mn14 0.697 0.529 0.070
Mn15 0.789 0.725 0.177
Mn16 0.798 0.225 0.174
Mn17 0.896 0.925 0.275
Mn18 0.900 0.926 0.774
Mn19 0.996 0.625 0.375
Mn20 0.999 0.126 0.374
O1 0.000 0.390 0.609
O2 0.028 0.881 0.637
O3 0.057 0.080 0.232
O4 0.079 0.602 0.230
O5 0.111 0.054 0.724
O6 0.137 0.572 0.714
O7 0.167 0.773 0.318
O8 0.197 0.794 0.810
O9 0.198 0.258 0.345
O10 0.223 0.281 0.832
O11 0.259 0.477 0.434
O12 0.284 0.999 0.429
O13 0.309 0.455 0.919
O14 0.346 0.971 0.911
O15 0.373 0.172 0.516
O16 0.396 0.195 0.005
O17 0.398 0.658 0.542
O18 0.422 0.679 0.034
O19 0.450 0.880 0.637
O20 0.485 0.397 0.628
O21 0.511 0.853 0.120
O22 0.543 0.375 0.110
O23 0.571 0.571 0.714
O24 0.598 0.590 0.207
O25 0.601 0.058 0.738
O26 0.623 0.081 0.232
O27 0.658 0.281 0.832
O28 0.688 0.799 0.824
O29 0.713 0.254 0.319
O30 0.734 0.773 0.318
O31 0.769 0.971 0.912
O32 0.797 0.463 0.936
O33 0.797 0.996 0.404
O34 0.827 0.476 0.434
O35 0.859 0.679 0.035
O36 0.881 0.205 0.024
O37 0.914 0.646 0.521
O38 0.937 0.173 0.516
O39 0.967 0.375 0.109
O40 0.994 0.856 0.145
```

Properties
The calculation puts the formation energy at -1.81 eV/atom. The value obtained for the total magnetization is 63.0 μB/f.u. For the electronic total energy, the calculation gives -438.21 eV per cell.


A plane-wave DFT calculation with PBE+U was carried out for an optimized crystal structure of Na14Mn2O9.

```
data_Na14Mn2O9
_chemical_formula_sum 'Na14 Mn2 O9'
_symmetry_space_group_name_H-M 'P -3'
_symmetry_Int_Tables_number 147
_cell_length_a 6.7388
_cell_length_b 6.7388
_cell_length_c 9.4383
_cell_angle_alpha 90.00
_cell_angle_beta 90.00
_cell_angle_gamma 120.00
loop_
_symmetry_equiv_pos_as_xyz
'x,y,z'
'-x,-y,-z'
'-y,x-y,z'
'y,-x+y,-z'
'-x+y,-x,z'
'x-y,x,-z'
loop_
_atom_site_label
_atom_site_fract_x
_atom_site_fract_y
_atom_site_fract_z
Na1 0.0000 0.0000 0.2482
Na2 0.0411 0.6798 0.4086
Na3 0.0675 0.3770 0.0915
Mn1 0.3333 0.6667 0.7623
O1 0.0000 0.0000 0.5000
O2 0.0522 0.3572 0.8373
O3 0.3333 0.6667 0.5387
```

Properties
The calculation puts the formation energy at -1.56 eV/atom. For the electronic total energy, the calculation gives -110.76 eV per cell.